{
  "formula": "FeF3",
  "functional": "r2SCAN",
  "state": "relaxed",
  "lattice_angstrom": [[5.4577, 0.0000, 0.0000], [-2.7289, 4.7265, 0.0000], [0.0000, 0.0000, 6.6859]],
  "species": ["Fe", "Fe", "Fe", "F", "F", "F", "F", "F", "F", "F", "F", "F"],
  "frac_coords": [[0.0000, 0.0000, 0.0000], [0.3333, 0.6667, 0.6666], [0.6667, 0.3333, 0.3334], [0.0000, 0.4951, 0.5000], [0.1641, 0.8307, 0.8333], [0.1693, 0.3333, 0.8333], [0.3333, 0.1693, 0.1667], [0.4951, 0.0000, 0.5000], [0.5049, 0.5049, 0.5000], [0.6667, 0.8359, 0.8333], [0.8307, 0.1641, 0.1667], [0.8359, 0.6667, 0.1667]],
  "crystal_system": "trigonal",
  "spacegroup": "P321 (150)",
  "ef_kj_per_mol_fu": -975
}